A plane-wave DFT calculation with PBE+U was carried out for a relaxed MgZn2Fe4O8 crystal.

Structure (CIF):
```
data_MgZn2Fe4O8
_chemical_formula_sum 'Mg1 Zn2 Fe4 O8'
_symmetry_space_group_name_H-M 'P 1'
_symmetry_Int_Tables_number 1
_cell_length_a 5.981
_cell_length_b 5.981
_cell_length_c 6.340
_cell_angle_alpha 118.36
_cell_angle_beta 118.36
_cell_angle_gamma 60.21
loop_
_symmetry_equiv_pos_as_xyz
'x,y,z'
loop_
_atom_site_label
_atom_site_type_symbol
_atom_site_fract_x
_atom_site_fract_y
_atom_site_fract_z
Mg1 Mg 0.000 0.000 0.000
Zn1 Zn 0.153 0.153 0.457
Zn2 Zn 0.494 0.494 0.984
Fe1 Fe 0.487 0.487 0.464
Fe2 Fe 0.494 0.992 0.980
Fe3 Fe 0.840 0.840 0.522
Fe4 Fe 0.992 0.494 0.980
O1 O 0.230 0.742 0.711
O2 O 0.247 0.247 0.242
O3 O 0.248 0.748 0.242
O4 O 0.270 0.270 0.806
O5 O 0.723 0.723 0.170
O6 O 0.742 0.230 0.711
O7 O 0.742 0.742 0.713
O8 O 0.748 0.248 0.242
```

Summary:
VASP energy, eV/atom: -5.874
Relative energy among the computed polymorphs, eV per formula unit: 0.43
Total moment, Bohr magnetons per cell: 8.00
Space group: No. 8